Entry from the Materials Project database: a geometry-optimized Li4Mn3Cr3Fe2O16 structure (GGA+U).

abc: 5.8398 5.8398 9.5428
angles: 90.34 90.34 59.84
Sites, in units of the cell vectors:
Li 0.0000 0.0000 0.0000
Li 0.0012 0.0012 0.5016
Li 0.3292 0.3292 0.3962
Li 0.6643 0.6643 0.8958
Mn 0.1681 0.1681 0.7194
Mn 0.3385 0.8281 0.2195
Mn 0.8281 0.3385 0.2195
Cr 0.1703 0.6578 0.7173
Cr 0.6578 0.1703 0.7173
Cr 0.8289 0.8289 0.2189
Fe 0.3337 0.3337 0.9964
Fe 0.6660 0.6660 0.4986
O 0.0020 0.0020 0.3140
O 0.0022 0.0022 0.8131
O 0.0355 0.4788 0.8368
O 0.1614 0.1614 0.1090
O 0.1650 0.6746 0.1062
O 0.3264 0.3264 0.6098
O 0.3266 0.8366 0.6072
O 0.4788 0.0355 0.8368
O 0.4803 0.4803 0.8362
O 0.5147 0.9591 0.3365
O 0.5166 0.5166 0.3371
O 0.6608 0.6608 0.1131
O 0.6746 0.1650 0.1062
O 0.8366 0.3266 0.6072
O 0.8384 0.8384 0.6076
O 0.9591 0.5147 0.3365

Computed properties:
Its distance to the lowest polymorph of the same formula is 10 meV per atom. The calculation puts the total magnetization at 0.96 μB per atom. As for the total energy: -191.5 eV/cell. Its formation energy is -2.06 eV/atom.